1 | Entry from Materials Project: Ti5Fe4Sb4 after structural relaxation (PBE).

Geometry as POSCAR:
```
Ti5Fe4Sb4
1.0
14.3655 -2.2366 0.0000
14.3655 2.2366 0.0000
14.0173 0.0000 3.8582
Ti Fe Sb
5 4 4
direct
0.3139 0.3139 0.3139
0.5602 0.5602 0.5602
0.0631 0.0631 0.0631
0.8121 0.8121 0.8121
0.6862 0.6862 0.6862
0.0017 0.0017 0.0017
0.7472 0.7472 0.7472
0.4986 0.4986 0.4986
0.2507 0.2507 0.2507
0.6215 0.6215 0.6215
0.8752 0.8752 0.8752
0.3802 0.3802 0.3802
0.1269 0.1269 0.1269
```

symmetry	R3m (160)
ρ	6.4	Mg/m³

***

2 | Entry from Materials Project: Ti5Fe4Sb4 after structural relaxation (PBE).

Geometry as POSCAR:
```
Ti5Fe4Sb4
1.0
-1.6241 3.4338 -1.9524
3.1603 -2.2070 -1.8391
-9.2285 -6.3755 -8.2073
Ti Fe Sb
5 4 4
direct
0.8749 0.4374 0.6876
0.3853 0.6927 0.9220
0.8651 0.9326 0.2023
0.3691 0.1846 0.4463
0.2493 0.6247 0.1260
0.9964 0.4982 0.5053
0.4977 0.7489 0.7534
0.9978 0.9989 0.0034
0.5059 0.2530 0.2411
0.6389 0.3194 0.0417
0.1166 0.5583 0.3251
0.6238 0.8119 0.5642
0.1291 0.0645 0.8064
```

symmetry	R3m (160)
ρ	7.3	Mg/m³

***

Energies relative to the minimum, meV/atom: 1 401; 2 0